The following is a GGA-PBE calculation of a geometry-optimized NdSmFe4Co13 structure, from Materials Project.

final energy = -7.212 eV per atom
energy of formation = -0.07 eV per atom
calculated volume = 13.2 A^3/atom

extended XYZ file:
```
19
Lattice="4.7632 -4.2053 0.0000 4.7632 4.2053 0.0000 1.0505 0.0000 6.2666" Properties=species:S:1:pos:R:3 pbc="T T T"
Nd 3.6341 0.0000 2.1531
Sm 6.9442 0.0000 4.1142
Fe 0.5363 0.0000 3.1045
Fe 2.3694 2.0763 0.0105
Fe 2.3694 -2.0763 0.0105
Fe 9.5968 0.0000 5.6859
Co 5.8159 -1.8008 6.2656
Co 6.8758 3.0014 4.4766
Co 8.4657 -1.2006 1.7931
Co 8.4657 1.2006 1.7931
Co 6.8758 -3.0014 4.4766
Co 5.8159 1.8008 6.2656
Co 6.4190 0.0000 0.9583
Co 4.5477 -2.1196 4.1168
Co 4.5477 2.1196 4.1168
Co 4.1631 0.0000 5.2808
Co 6.0143 2.0969 2.1562
Co 6.0143 -2.0969 2.1562
Co 1.0097 0.0000 0.5982
```